w | 24
Lattice="-1.162 -4.265 2.314 -3.061 -2.527 -6.195 7.431 -3.289 -2.331" Properties=species:S:1:pos:R:3 comment="NdCO4 PBE-GGA relaxed" sg="No. 62" pbc="T T T"
C 3.346 -5.794 -6.309
O 4.398 -7.329 -3.231
O 0.267 -5.153 -3.719
O 2.711 -5.132 -5.409
Nd 1.103 -3.059 -2.395
O 0.640 -7.606 -5.629
O -1.190 -2.752 -2.981
O -0.257 -7.075 -2.676
O -0.226 -2.995 0.013
O 5.068 -4.234 -2.570
Nd 4.877 -6.308 -1.108
O -0.750 -4.916 1.055
O -1.860 -5.847 -3.641
C -0.624 -6.013 -3.327
O 3.465 -3.006 -3.535
O 2.941 -4.928 -2.492
O 0.497 -4.949 -0.803
O 2.568 -2.475 -0.582
C -0.138 -4.287 0.098
Nd 2.105 -7.022 -3.816
O 3.434 -7.087 -6.224
O 3.957 -5.165 -7.267
Nd -1.669 -3.773 -5.103
C 3.832 -4.068 -2.884

***

x | 24
Lattice="-0.147 -4.542 1.630 0.997 -2.205 -6.055 10.566 0.249 1.649" Properties=species:S:1:pos:R:3 comment="NdCO4 PBE-GGA relaxed" sg="No. 62" pbc="T T T"
O 9.377 -2.137 -1.531
O 0.956 -4.812 0.682
C 10.123 -2.516 -2.521
Nd 1.830 -5.186 -3.563
O 6.995 -1.079 1.203
O 10.392 -3.769 -2.711
O 7.364 -4.868 -2.175
O 1.024 -2.729 -0.065
O 4.953 -3.750 -2.557
C 6.604 -1.485 0.035
C 1.293 -3.982 -0.255
O 6.463 -2.748 -0.219
Nd 4.368 -4.013 -0.061
O 10.460 -1.687 -3.458
O 9.232 -3.710 1.222
O 4.885 -5.833 -1.810
C 4.812 -5.013 -2.811
O 4.421 -5.420 -3.979
O 2.185 -2.788 -3.998
O 2.039 -4.362 -1.245
O 6.531 -0.665 -0.966
Nd 9.587 -1.312 0.787
O 4.052 -1.630 -0.601
Nd 7.048 -2.486 -2.715

***

Q: Which of them is the most stable? A: w.

***

w | 108
Lattice="-6.173 10.852 1.196 4.993 -5.520 10.094 8.433 4.958 -1.460" Properties=species:S:1:pos:R:3 comment="NdCO4 PBE-GGA relaxed" sg="No. 174" pbc="T T T"
O 3.588 12.061 2.372
Nd 8.963 1.810 7.007
O 3.468 1.229 6.748
O -0.694 5.374 6.545
Nd 0.586 6.557 8.449
O -0.844 4.275 1.942
O -0.480 9.089 2.217
C 4.451 3.650 4.597
O 3.277 4.213 -0.271
O 0.468 4.137 9.092
C 8.063 -1.334 8.537
O 2.997 8.732 5.829
O 1.729 0.035 2.446
O 1.077 7.603 6.161
Nd 2.468 2.970 8.240
O 6.998 -1.915 8.085
O 3.463 2.292 1.951
O 6.974 7.962 7.966
O 5.088 2.523 4.454
Nd 5.392 5.582 0.286
O 3.106 5.169 9.659
Nd 4.690 8.970 7.738
O 8.707 1.610 9.411
C 2.074 -1.765 5.985
O 9.440 2.615 4.075
O 7.508 3.604 6.048
Nd 0.992 4.772 4.760
O 1.440 10.218 1.885
C 4.649 2.383 1.441
O 7.508 1.608 2.479
Nd 2.841 1.182 4.327
C -2.115 4.233 2.159
C 0.821 -0.792 2.050
O -1.154 8.042 7.661
Nd 5.103 7.189 4.049
O 11.014 1.165 8.219
O 5.474 -0.290 9.971
Nd 3.001 10.910 4.544
Nd 3.361 9.147 0.636
Nd 1.373 12.688 1.206
O 4.508 -2.660 9.346
O 3.907 9.132 3.061
O 1.776 7.311 1.580
C -0.801 4.109 9.324
O 3.086 7.163 8.642
O 1.865 4.980 7.024
O -1.065 12.245 1.925
O 2.637 6.788 4.778
Nd -1.110 8.494 5.256
O 7.652 0.637 5.214
O -1.445 5.231 9.415
O -3.135 6.876 5.242
O 5.037 6.305 9.325
C 0.615 9.608 2.675
O 5.107 4.752 4.487
O -0.375 6.615 3.803
O 2.870 0.151 9.410
O 1.820 5.235 2.416
O 4.275 -0.292 3.039
O 5.098 6.881 6.464
O 4.666 2.425 9.327
O 0.919 1.010 8.740
C 2.234 7.712 5.591
C -1.600 4.539 6.168
O 6.375 5.800 2.486
O 4.012 11.079 6.766
O 6.590 3.556 8.994
O 2.039 1.199 -0.353
C 2.448 6.300 2.030
O 0.610 0.546 5.377
O 2.661 11.298 -0.298
O 0.885 9.521 3.939
O 3.741 6.364 2.084
O -2.506 8.260 0.597
O 2.939 -1.207 5.200
Nd 6.849 5.545 7.481
Nd -2.732 10.275 1.916
O 5.728 -0.494 5.547
O -0.694 1.469 0.979
Nd 7.223 3.757 3.568
O -2.908 8.243 3.497
C -3.637 7.412 4.160
O 2.284 -1.744 7.268
O 8.929 -0.780 7.751
C 5.382 3.262 8.660
O 5.394 3.427 1.617
C 6.630 0.337 5.937
Nd 4.582 -0.766 7.766
C 3.794 -3.505 10.010
O 7.404 6.393 5.147
C 3.751 6.200 9.216
O 5.651 8.094 0.817
O 6.518 0.876 7.118
O 0.904 2.572 6.272
O -1.451 3.944 5.013
O -2.767 5.364 2.232
C 0.156 1.530 6.094
C 1.584 0.047 9.306
Nd 1.287 3.169 0.997
O 4.857 3.849 7.622
O 9.370 3.973 8.284
O 6.394 3.759 -1.107
O 8.235 3.860 1.320
Nd -0.750 6.730 1.348
O 1.208 2.762 3.380
O 3.183 3.621 4.820
O 5.802 9.193 5.420
O -5.213 9.483 2.093

***

x | 108
Lattice="6.293 -10.900 0.000 6.293 10.900 0.000 0.000 0.000 9.933" Properties=species:S:1:pos:R:3 comment="NdCO4 PBE-GGA relaxed" sg="No. 174" pbc="T T T"
O 4.651 -2.615 4.967
O 6.361 1.642 0.000
O 4.231 1.904 3.829
O 6.818 -8.195 1.132
O 2.174 -3.660 6.888
O 4.140 0.052 1.904
C 4.940 -5.517 4.967
Nd 4.115 4.931 7.418
O 3.906 -4.552 8.802
Nd 6.360 8.395 2.503
Nd 10.384 1.195 7.430
C 11.198 -1.778 4.967
O 0.000 0.000 7.491
C 1.462 -1.818 0.000
Nd 8.506 4.870 2.515
O 6.205 9.014 4.967
O 6.134 1.752 4.967
O 1.677 0.866 4.967
O 10.997 1.019 4.967
O 5.773 -8.297 6.108
O 2.514 -0.851 6.108
O 10.471 3.559 8.029
Nd 8.462 -2.399 2.409
Nd 8.506 4.870 7.418
O 8.274 1.748 8.797
C 7.661 1.724 0.000
O 5.649 -0.981 6.101
Nd 4.115 4.931 2.515
C 10.281 -0.357 0.000
O 4.140 0.052 8.029
O 5.649 -0.981 3.833
O 8.282 -5.241 1.131
O 9.981 -0.897 8.801
O 6.293 -3.633 7.423
O 3.670 2.860 1.136
O 10.871 0.797 0.000
O 6.232 -5.564 4.967
O 6.691 -1.107 1.131
O 8.274 1.748 1.136
C 5.495 5.775 4.967
O 6.461 9.016 0.000
O 8.376 -7.187 3.045
O 10.592 -1.752 3.825
Nd 6.360 8.395 7.430
Nd 10.384 1.195 2.503
Nd 6.258 1.098 7.418
O 3.906 -4.552 1.131
O 2.514 -0.851 3.825
C 4.837 1.871 4.967
O 8.282 -5.241 8.802
C 8.547 3.254 4.967
O 8.329 -0.052 3.045
O 3.670 2.860 8.797
O 7.995 -2.721 4.967
O 6.818 -8.195 8.801
O 4.318 -5.517 3.833
O 10.592 -1.752 6.108
C 3.956 3.403 0.000
O 7.983 4.688 0.000
O 4.268 7.289 1.904
O 10.471 3.559 1.904
O 6.293 -3.633 2.510
O 5.827 6.284 3.829
C 5.447 -8.808 4.967
O 1.548 1.087 0.000
O 0.000 0.000 2.442
O 6.293 3.633 2.477
C 6.144 -1.429 0.000
O 8.268 -3.314 0.000
C 2.234 -0.313 4.967
O 8.329 -0.052 6.888
C 5.338 -1.519 4.967
C 8.276 -4.607 0.000
O 8.822 2.712 3.829
O 9.981 -0.897 1.132
O 8.912 -4.402 3.833
O 5.773 -8.297 3.825
Nd 4.140 -2.372 7.524
C 7.136 -8.725 0.000
O 6.691 -1.107 8.802
Nd 8.462 -2.399 7.524
O 2.079 -1.807 8.801
C 7.262 5.773 0.000
Nd 6.277 -6.129 7.524
O 8.912 -4.402 6.101
Nd 2.136 1.310 7.430
O 2.079 -1.807 1.132
Nd 4.140 -2.372 2.409
O 4.743 4.711 4.967
O 5.582 -5.503 0.000
O 6.935 6.292 1.136
O 4.231 1.904 6.104
O 8.822 2.712 6.104
O 6.293 3.633 7.456
Nd 6.277 -6.129 2.409
O 8.001 4.436 4.967
C 4.458 -4.864 0.000
O 6.935 6.292 8.797
O 4.268 7.289 8.029
C 8.601 -3.863 4.967
O 4.535 4.570 0.000
Nd 2.136 1.310 2.503
O 2.174 -3.660 3.045
O 4.318 -5.517 6.101
O 5.827 6.284 6.104
O 5.029 -2.083 0.000
Nd 6.258 1.098 2.515
O 8.376 -7.187 6.888

***

Q: Which of them is the most stable? A: w.

***

w | 9
Lattice="4.077 4.128 0.000 -4.077 4.128 0.000 0.000 2.575 6.563" Properties=species:S:1:pos:R:3 comment="Rb4CO4 PBE-GGA relaxed" sg="No. 8" pbc="T T T"
Rb 1.978 7.149 4.066
Rb -1.978 7.149 4.066
C 0.000 1.233 2.734
Rb -2.083 2.725 0.687
O 0.000 2.642 2.429
O 0.000 9.307 4.189
O 2.904 4.771 2.182
O -2.904 4.771 2.182
Rb 2.083 2.725 0.687

***

x | 9
Lattice="0.663 4.440 4.977 -6.358 0.909 1.918 3.231 -5.833 -0.681" Properties=species:S:1:pos:R:3 comment="Rb4CO4 PBE-GGA relaxed" sg="No. 121" pbc="T T T"
Rb -1.861 0.572 3.611
Rb -5.148 2.708 3.804
Rb -2.198 4.192 5.090
O -4.919 0.958 1.775
C 0.000 0.000 0.000
O -3.038 0.829 6.015
O 0.159 3.512 3.988
O -0.362 -0.435 1.332
Rb 1.048 -2.607 0.605

***

y | 9
Lattice="3.399 -3.782 0.000 3.399 3.782 0.000 0.000 0.000 6.498" Properties=species:S:1:pos:R:3 comment="Rb4CO4 PBE-GGA relaxed" sg="No. 38" pbc="T T T"
O 4.558 1.462 3.249
O 3.399 -0.129 1.992
Rb 5.110 -1.870 0.000
Rb 3.399 -3.726 1.904
Rb 3.399 -3.726 4.593
Rb 1.687 -1.870 0.000
O 2.240 1.462 3.249
O 3.399 -0.129 4.505
C 3.399 0.642 3.249

***

Q: Which of them is the most stable? A: x.